Below is a geometry-optimized LiVPO4 structure, with properties calculated at the PBE with a Hubbard U level.

a b c (Å): 5.084 9.400 6.227
angles (deg): 90.00 90.00 83.48
Fractional coordinates of all 28 atoms:
Li1 0.256 0.424 0.750
Li2 0.756 0.924 0.750
Li3 0.258 0.090 0.250
Li4 0.758 0.590 0.250
V1 0.257 0.757 0.000
V2 0.757 0.257 0.500
V3 0.757 0.257 0.000
V4 0.257 0.757 0.500
P1 0.286 0.081 0.750
P2 0.786 0.581 0.750
P3 0.228 0.433 0.250
P4 0.728 0.933 0.250
O1 0.135 0.131 0.954
O2 0.635 0.631 0.954
O3 0.135 0.131 0.546
O4 0.635 0.631 0.546
O5 0.380 0.383 0.454
O6 0.880 0.883 0.454
O7 0.380 0.383 0.046
O8 0.880 0.883 0.046
O9 0.847 0.412 0.750
O10 0.347 0.912 0.750
O11 0.570 0.135 0.750
O12 0.070 0.635 0.750
O13 0.944 0.379 0.250
O14 0.444 0.879 0.250
O15 0.667 0.102 0.250
O16 0.167 0.602 0.250

Values from the calculation:
As for the spin magnetization: 0.00 μB/cell. The energy of formation comes out at -2.643 eV per atom. Its distance to the lowest polymorph of the same formula is 0.000 eV per atom.